DFT (GGA-PBE) results for crystalline Sm2S2F at its relaxed geometry.

Cell lengths 3.714, 3.714, 11.465 Å; angles 90.00, 90.00, 90.00 degrees
Space group P4/mmm (No. 123)
Symmetry-distinct sites (fractional):
Sm  0.000  0.000  0.194 [2 per cell]
S  0.000  0.000  0.414 [2 per cell]
F  0.000  0.000  0.000 [1 per cell]

DFT formation energy: -1150 meV/atom
crystal system: tetragonal